Entry 1:
Compound: MgSi6O12
Source: the Materials Project database
Functional: GGA-PBE
Structure: optimized geometry

Cell and atoms, written as POSCAR:
```
MgSi6O12
1.0
4.538 0.102 2.808
2.539 7.065 2.173
1.251 -0.973 9.472
Mg Si O
1 6 12
Cartesian
0.000 0.000 0.000
3.263 1.744 4.820
1.606 0.160 2.449
5.064 4.449 9.633
6.722 6.033 12.004
5.737 1.391 9.965
2.591 4.802 4.488
5.043 2.879 9.947
4.677 0.375 9.168
3.285 3.314 4.506
3.651 5.818 5.285
2.552 1.392 6.215
6.027 0.807 11.402
3.507 5.029 9.642
5.751 5.290 10.896
4.821 1.164 4.811
2.577 0.903 3.557
2.300 5.386 3.051
5.775 4.801 8.238
```

Magnetization in μB/atom: 0.000
Final energy in eV per atom: -7.49
Space-group type: P-1 (2)
E above lowest polymorph in meV per atom: 11


Entry 2:
Compound: Ca4H12Rh3
Source: the Materials Project database
Functional: GGA-PBE
Structure: optimized geometry

Cell and atoms, written as POSCAR:
```
Ca4H12Rh3
1.0
-3.650 3.650 3.650
3.650 -3.650 3.650
3.650 3.650 -3.650
Ca H Rh
4 12 3
Cartesian
1.825 1.825 -1.825
1.825 -1.825 1.825
-1.825 1.825 1.825
1.825 1.825 1.825
0.000 0.000 5.360
0.000 1.940 0.000
1.940 0.000 0.000
0.000 0.000 1.940
0.000 5.360 0.000
5.360 0.000 0.000
0.000 3.650 1.825
0.000 1.825 3.650
1.825 3.650 0.000
3.650 1.825 0.000
3.650 0.000 1.825
1.825 0.000 3.650
3.650 0.000 0.000
0.000 0.000 3.650
0.000 3.650 0.000
```

Final energy in eV per atom: -4.30
Space-group type: Im-3m (229)


Number 1: energy of formation -3000 meV/atom. Number 2: energy of formation -575 meV/atom.